Computed, not measured: Pm2O3 after structural relaxation at the GGA-PBE level of DFT.

abc: 3.8234 3.8234 6.0411
angles: 90.00 90.00 120.00
Closest atoms and distances in Å follow each position.
Fractional coordinates of all 5 atoms:
Pm  0.6667  0.3333  0.2509  4 O 2.30-2.39
Pm  0.3333  0.6667  0.7491  4 O 2.30-2.39
O  0.3333  0.6667  0.1449  4 Pm 2.30-2.39
O  0.0000  0.0000  0.5000  6 Pm 2.67
O  0.6667  0.3333  0.8551  4 Pm 2.30-2.39

Computed properties:
Volume = 76.5 Å³ per cell
ΔE_f = -3.80 eV per atom
Space-group type = P-3m1, No. 164